Below is a relaxed ErMn2O4 crystal, with properties calculated at the GGA+U level.

abc: 11.3066 6.1907 6.2446
angles: 90.00 123.05 90.00
Closest atoms and distances in Å follow each position.
Space group C2/m (No. 12)
Symmetry-distinct sites (fractional):
Er  0.1253  0.0000  0.3881 x4  4 O 2.13-2.15
Mn  0.0000  0.5000  0.0000 x2  6 O 2.20-2.22
Mn  0.0000  0.5000  0.5000 x2  4 O 1.97
Mn  0.2500  0.2500  0.0000 x4  6 O 2.08-2.31
O  0.0080  0.2773  0.7339 x8  2 Mn 1.97-2.20, 1 Er 2.13
O  0.2335  0.5000  0.2056 x4  3 Mn 2.08-2.22, 1 Er 2.14
O  0.2483  0.0000  0.2213 x4  2 Mn 2.08, 1 Er 2.15

Values from the calculation:
Calculated formation energy ... -2642 meV/atom
E_tot ... -220.36 eV/cell